Al13Os4 after structural relaxation, computed with r2SCAN.

It has space group C2/m (No. 12), with a = 17.568 Å, b = 4.207 Å, c = 7.797 Å, α = 90.00°, β = 116.02° and γ = 90.00°. The inequivalent atoms are Al at (0.000, 0.000, 0.000), Al at (0.086, 0.500, 0.568), Al at (0.087, 0.000, 0.795), Al at (0.088, 0.000, 0.365), Al at (0.130, 0.500, 0.158), Al at (0.205, 0.500, 0.917), Al at (0.241, 0.000, 0.383), Os at (0.009, 0.500, 0.805) and Os at (0.206, 0.000, 0.708).

The total energy comes out at -18.15 eV/atom. Its crystal system is monoclinic. The value obtained for the formation energy is -51 kJ/mol of atoms. For the magnetization, the calculation gives 0.00 μB/f.u.

***

ThB2Os2 after structural relaxation, computed with r2SCAN.

It has space group Fddd (No. 70, origin choice 2), with a = 6.596 Å, b = 9.082 Å, c = 10.154 Å, α = 90.00°, β = 90.00° and γ = 90.00°. The inequivalent atoms are Th at (0.125, 0.125, 0.125), B at (0.125, 0.308, 0.625) and Os at (0.125, 0.125, 0.488).

The total energy comes out at -39.42 eV/atom. Its crystal system is orthorhombic. The value obtained for the formation energy is -58 kJ/mol of atoms. For the magnetization, the calculation gives 0.00 μB/f.u.

***

USO after structural relaxation, computed with r2SCAN.

It has space group P4/nmm (No. 129, origin choice 2), with a = 3.835 Å, b = 3.835 Å, c = 6.754 Å, α = 90.00°, β = 90.00° and γ = 90.00°. The inequivalent atoms are U at (0.250, 0.250, 0.200), S at (0.250, 0.250, 0.638) and O at (0.250, 0.750, 0.000).

The total energy comes out at -34.17 eV/atom. Its crystal system is tetragonal. The value obtained for the formation energy is -276 kJ/mol of atoms. For the magnetization, the calculation gives 2.00 μB/f.u.

***

BaReH9 after structural relaxation, computed with r2SCAN.

It has space group P6_3/mmc (No. 194), with a = 5.2252 Å, b = 5.2252 Å, c = 9.6905 Å, α = 90.00°, β = 90.00° and γ = 120.00°. The inequivalent atoms are Ba at (0.0000, 0.0000, 0.0000), Re at (0.3333, 0.6667, 0.2500), H at (0.0664, 0.5332, 0.1264) and H at (0.1497, 0.2994, 0.2500).

The total energy comes out at -10.34 eV/atom. Its crystal system is hexagonal. The value obtained for the formation energy is -32 kJ/mol of atoms. For the magnetization, the calculation gives 0.00 μB/f.u.

***

Na2TeSe3 after structural relaxation, computed with r2SCAN.

It has space group C2/c (No. 15), with a = 21.729 Å, b = 6.008 Å, c = 12.033 Å, α = 90.00°, β = 121.23° and γ = 90.00°. The inequivalent atoms are Na at (0.072, 0.033, 0.192), Na at (0.249, 0.491, 0.876), Te at (0.108, 0.448, 0.509), Se at (0.087, 0.467, 0.696), Se at (0.090, 0.037, 0.458) and Se at (0.242, 0.491, 0.618).

The total energy comes out at -13.34 eV/atom. Its crystal system is monoclinic. The value obtained for the formation energy is -74 kJ/mol of atoms. For the magnetization, the calculation gives 0.00 μB/f.u.

***

Gd2Fe17 after structural relaxation, computed with r2SCAN.

It has space group R-3m (No. 166, hexagonal axes), with a = 8.5740 Å, b = 8.5740 Å, c = 12.3403 Å, α = 90.00°, β = 90.00° and γ = 120.00°. The inequivalent atoms are Gd at (0.0000, 0.0000, 0.1595), Fe at (0.0000, 0.0000, 0.4033), Fe at (0.0000, 0.2923, 0.5000), Fe at (0.0000, 0.5000, 0.0000) and Fe at (0.0016, 0.5008, 0.3449).

The total energy comes out at -17.46 eV/atom. Its crystal system is trigonal. The value obtained for the formation energy is 1 kJ/mol of atoms. For the magnetization, the calculation gives 28.68 μB/f.u.

***

V12P7 after structural relaxation, computed with r2SCAN.

It has space group P-6 (No. 174), with a = 9.2755 Å, b = 9.2755 Å, c = 3.2176 Å, α = 90.00°, β = 90.00° and γ = 120.00°. The inequivalent atoms are V at (0.0037, 0.2010, 0.0000), V at (0.1329, 0.6222, 0.0000), V at (0.2654, 0.2527, 0.5000), V at (0.5029, 0.1303, 0.5000), P at (0.0000, 0.0000, 0.5000), P at (0.1567, 0.4415, 0.5000) and P at (0.4629, 0.2924, 0.0000).

The total energy comes out at -13.11 eV/atom. Its crystal system is hexagonal. The value obtained for the formation energy is -86 kJ/mol of atoms. For the magnetization, the calculation gives 0.00 μB/f.u.

***

HoNi4B after structural relaxation, computed with r2SCAN.

It has space group P6/mmm (No. 191), with a = 4.9185 Å, b = 4.9185 Å, c = 6.8766 Å, α = 90.00°, β = 90.00° and γ = 120.00°. The inequivalent atoms are Ho at (0.0000, 0.0000, 0.0000), Ho at (0.0000, 0.0000, 0.5000), Ni at (0.0000, 0.5000, 0.2086), Ni at (0.3333, 0.6667, 0.5000) and B at (0.3333, 0.6667, 0.0000).

The total energy comes out at -15.18 eV/atom. Its crystal system is hexagonal. The value obtained for the formation energy is -47 kJ/mol of atoms. For the magnetization, the calculation gives 0.00 μB/f.u.

***

Mn3B4Mo3 after structural relaxation, computed with r2SCAN.

It has space group Amm2 (No. 38), with a = 3.135 Å, b = 8.137 Å, c = 8.122 Å, α = 90.00°, β = 90.00° and γ = 90.00°. The inequivalent atoms are Mn at (0.000, 0.000, 0.000), Mn at (0.500, 0.247, 0.074), B at (0.500, 0.000, 0.207), B at (0.500, 0.000, 0.435), B at (0.500, 0.111, 0.832), Mo at (0.000, 0.000, 0.649) and Mo at (0.000, 0.178, 0.324).

The total energy comes out at -15.65 eV/atom. Its crystal system is orthorhombic. The value obtained for the formation energy is -46 kJ/mol of atoms. For the magnetization, the calculation gives 7.54 μB/f.u.

***

AlSiNi6 after structural relaxation, computed with r2SCAN.

It has space group P4/mmm (No. 123), with a = 3.497 Å, b = 3.497 Å, c = 6.981 Å, α = 90.00°, β = 90.00° and γ = 90.00°. The inequivalent atoms are Al at (0.000, 0.000, 0.000), Si at (0.000, 0.000, 0.500), Ni at (0.000, 0.500, 0.257), Ni at (0.500, 0.500, 0.000) and Ni at (0.500, 0.500, 0.500).

The total energy comes out at -11.35 eV/atom. Its crystal system is tetragonal. The value obtained for the formation energy is -41 kJ/mol of atoms. For the magnetization, the calculation gives 1.25 μB/f.u.

***

YbDyHg2 after structural relaxation, computed with r2SCAN.

It has space group Fm-3m (No. 225), with a = 7.317 Å, b = 7.317 Å, c = 7.317 Å, α = 90.00°, β = 90.00° and γ = 90.00°. The inequivalent atoms are Yb at (0.000, 0.000, 0.000), Dy at (0.000, 0.000, 0.500) and Hg at (0.250, 0.250, 0.250).

The total energy comes out at -42.39 eV/atom. Its crystal system is cubic. The value obtained for the formation energy is -56 kJ/mol of atoms. For the magnetization, the calculation gives 0.00 μB/f.u.

***

SrSc2Te4 after structural relaxation, computed with r2SCAN.

It has space group Pnma (No. 62), with a = 13.280 Å, b = 4.262 Å, c = 15.465 Å, α = 90.00°, β = 90.00° and γ = 90.00°. The inequivalent atoms are Sr at (0.238, 0.250, 0.173), Sc at (0.054, 0.250, 0.388), Sc at (0.084, 0.250, 0.906), Te at (0.032, 0.750, 0.786), Te at (0.093, 0.250, 0.573), Te at (0.124, 0.750, 0.032) and Te at (0.202, 0.750, 0.343).

The total energy comes out at -21.55 eV/atom. Its crystal system is orthorhombic. The value obtained for the formation energy is -155 kJ/mol of atoms. For the magnetization, the calculation gives 0.00 μB/f.u.

***

- formation energy of number 7 (V12P7)?
  -86 kJ/mol of atoms

***

Copy entry 7 word for word.
V12P7 after structural relaxation, computed with r2SCAN.

It has space group P-6 (No. 174), with a = 9.2755 Å, b = 9.2755 Å, c = 3.2176 Å, α = 90.00°, β = 90.00° and γ = 120.00°. The inequivalent atoms are V at (0.0037, 0.2010, 0.0000), V at (0.1329, 0.6222, 0.0000), V at (0.2654, 0.2527, 0.5000), V at (0.5029, 0.1303, 0.5000), P at (0.0000, 0.0000, 0.5000), P at (0.1567, 0.4415, 0.5000) and P at (0.4629, 0.2924, 0.0000).

The total energy comes out at -13.11 eV/atom. Its crystal system is hexagonal. The value obtained for the formation energy is -86 kJ/mol of atoms. For the magnetization, the calculation gives 0.00 μB/f.u.